This record from the Materials Project database describes W3C7NCl6O7 after structural relaxation. The functional is GGA+U.

Structure (CIF):
```
data_W3C7NCl6O7
_cell_length_a 12.7860
_cell_length_b 11.7426
_cell_length_c 14.9454
_cell_angle_alpha 90.00
_cell_angle_beta 90.00
_cell_angle_gamma 90.00
_symmetry_space_group_name_H-M 'P n m a'
_symmetry_Int_Tables_number 62
_symmetry_space_group_name_Hall '-P 2ac 2n'
loop_
_atom_site_label
_atom_site_fract_x
_atom_site_fract_y
_atom_site_fract_z
W1 0.0416 0.1229 0.2057
W2 0.0432 0.2500 0.4149
C1 0.0456 0.7500 0.8836
C2 0.0931 0.5416 0.6328
C3 0.1871 0.2500 0.7986
C4 0.2033 0.1718 0.9045
C5 0.2205 0.7500 0.3597
N1 0.1174 0.2500 0.8779
Cl1 0.1000 0.2500 0.5629
Cl2 0.1122 0.5445 0.1459
Cl3 0.1578 0.1014 0.3462
Cl4 0.1841 0.2500 0.1404
O1 0.0168 0.7500 0.7088
O2 0.0680 0.6102 0.5725
O3 0.0704 0.6501 0.9061
O4 0.0722 0.5267 0.7135
```

## Properties
spin magnetization = 3.0 μB per formula unit
ΔE_f = -0.2021 eV/atom